Entry from the Materials Project database: a relaxed structure of AlCo2O4 (PBE with a Hubbard U).

Cell lengths 5.251, 5.122, 6.105 Å; angles 112.66, 113.73, 95.07 degrees
Fractional coordinates of all 14 atoms:
Al 0.919 0.175 0.845
Al 0.081 0.825 0.155
Co 0.500 0.000 0.000
Co 0.500 0.500 0.000
Co 0.000 0.500 0.500
Co 0.500 0.500 0.500
O 0.733 0.482 0.833
O 0.094 0.854 0.830
O 0.267 0.518 0.167
O 0.906 0.146 0.170
O 0.453 0.098 0.307
O 0.868 0.704 0.309
O 0.132 0.296 0.691
O 0.547 0.902 0.693

VASP energy = -44.0 eV per formula unit
Total moment = 3.0 μB/f.u.
Symmetry = No. 2